[1]
The following is a GGA+U calculation of an optimized crystal structure of Al2Co3GeO8, from the Materials Project database.

The structure in extended XYZ format:
```
14
Lattice="-2.324 -4.983 2.104 -2.968 3.045 4.071 -0.542 1.304 -5.715" Properties=species:S:1:pos:R:3 pbc="T T T"
Al -2.690 -1.606 1.494
Al -1.877 1.437 -2.514
Co -3.052 1.699 0.692
Co -2.976 -0.964 -1.472
Co -4.150 -0.142 3.439
Ge -0.049 -0.018 0.058
O -2.622 -3.606 0.937
O -4.280 -1.551 0.160
O -2.892 -3.034 -1.852
O -1.450 -1.185 -0.037
O -2.746 0.224 1.952
O -1.756 -0.370 -3.046
O -3.034 1.023 -1.137
O -3.869 -2.048 2.843
```

space-group type = Imm2, No. 44


[2]
The following is a GGA+U calculation of an optimized crystal structure of KAlCoP2O8, from the Materials Project database.

The structure in extended XYZ format:
```
52
Lattice="6.615 6.738 0.000 -6.615 6.738 0.000 0.000 1.603 8.716" Properties=species:S:1:pos:R:3 pbc="T T T"
K 3.092 10.497 6.795
K 3.437 5.532 6.265
K -3.092 9.695 2.437
K -3.437 4.730 1.907
Al -1.667 9.265 8.296
Al 0.807 2.747 5.350
Al 1.667 8.463 3.938
Al -0.807 1.946 0.992
Co 0.867 13.151 7.666
Co -1.596 6.523 4.848
Co -0.867 12.349 3.308
Co 1.596 5.722 0.490
P -4.791 9.314 8.435
P -0.961 6.202 8.000
P -0.853 9.607 5.155
P -4.793 6.592 4.528
P 4.791 8.512 4.077
P 0.961 5.400 3.641
P 0.853 8.805 0.797
P 4.793 5.790 0.170
O 1.387 10.091 0.159
O -0.970 13.632 7.700
O -4.756 7.809 8.660
O -1.558 7.528 8.611
O 3.360 6.994 8.497
O 0.560 6.316 7.887
O -1.217 9.671 6.665
O 1.424 12.691 5.874
O 1.292 2.952 7.030
O -1.644 5.857 6.671
O 0.708 9.449 5.058
O -1.387 10.893 4.517
O 3.331 9.069 4.244
O -1.524 8.416 4.461
O -4.911 8.165 4.619
O -0.948 2.522 5.127
O 0.970 12.830 3.342
O 4.756 7.008 4.302
O 1.558 6.727 4.253
O -3.360 6.193 4.139
O 1.375 4.269 4.649
O -0.560 5.514 3.529
O 1.217 8.870 2.307
O -1.424 11.889 1.516
O -1.292 2.150 2.672
O 1.644 5.055 2.313
O -0.708 8.647 0.700
O -3.331 9.870 8.603
O 1.524 7.614 0.103
O 4.911 7.363 0.261
O 0.948 1.720 0.769
O -1.375 3.468 0.290
```

space-group type = Cc, No. 9


[3]
The following is a GGA+U calculation of an optimized crystal structure of LiAlCoO3, from the Materials Project database.

The structure in extended XYZ format:
```
24
Lattice="5.505 0.606 1.870 -3.132 -4.740 1.563 2.304 -6.889 -5.302" Properties=species:S:1:pos:R:3 pbc="T T T"
Li 2.403 -5.726 0.469
Li 0.803 -9.473 -3.117
Li 3.874 -1.551 1.248
Li 2.274 -5.298 -2.339
Al 2.684 -2.759 -1.173
Al 6.589 -5.901 -2.889
Al -1.911 -5.123 1.019
Al 1.993 -8.265 -0.697
Co 3.689 -7.634 -2.926
Co 0.988 -3.390 1.056
Co -0.215 -4.492 -1.210
Co 4.892 -6.532 -0.659
O 1.703 -4.191 -0.686
O 5.608 -7.333 -2.402
O -0.931 -3.691 0.533
O 2.974 -6.833 -1.183
O -1.240 -6.153 -0.566
O 2.665 -9.295 -2.282
O 2.012 -1.729 0.412
O 5.917 -4.871 -1.303
O 4.433 -2.650 -0.672
O 2.833 -6.398 -4.257
O 1.844 -4.626 2.388
O 0.244 -8.374 -1.198
```


[4]
The following is a GGA+U calculation of an optimized crystal structure of Li9AlCo2O8, from the Materials Project database.

The structure in extended XYZ format:
```
80
Lattice="-5.898 1.621 -1.842 -2.020 -7.305 0.038 -4.407 1.298 15.255" Properties=species:S:1:pos:R:3 pbc="T T T"
Li -1.491 -3.781 1.041
Li -4.224 -3.030 0.188
Li -5.730 -1.070 0.789
Li -0.784 -0.567 1.817
Li -3.629 0.215 0.929
Li -2.853 -1.799 2.015
Li -6.905 -4.412 1.610
Li -5.048 -2.922 2.308
Li -7.887 -2.142 1.421
Li -1.429 0.019 4.387
Li -4.268 0.800 3.501
Li -3.439 -1.425 4.218
Li -7.593 -4.410 3.815
Li -8.735 -2.289 3.995
Li -5.890 -3.071 4.883
Li -4.748 -5.251 5.042
Li -5.025 1.152 5.620
Li -7.757 1.903 4.767
Li -4.568 -6.288 8.685
Li -7.300 -5.537 7.832
Li -7.577 0.866 8.410
Li -6.435 -1.314 8.568
Li -3.590 -2.096 9.456
Li -4.732 0.025 9.637
Li -8.886 -2.960 9.233
Li -8.056 -5.185 9.951
Li -10.896 -4.404 9.064
Li -4.438 -2.243 12.030
Li -7.277 -1.463 11.144
Li -5.420 0.027 11.842
Li -9.471 -2.587 11.436
Li -11.540 -3.818 11.634
Li -8.696 -4.600 12.522
Li -6.595 -3.315 12.663
Li -8.101 -1.355 13.264
Li -10.834 -0.604 12.411
Al -3.191 -5.720 -0.356
Al -7.292 -0.620 6.187
Al -5.033 -3.765 7.265
Al -9.134 1.335 13.807
Co -6.121 -4.353 -0.849
Co -3.958 -5.155 2.597
Co -6.351 -0.558 3.231
Co -4.074 -0.948 6.674
Co -8.251 -3.437 6.778
Co -5.973 -3.827 10.221
Co -8.367 0.770 10.855
Co -6.204 -0.032 14.300
O -6.449 -0.500 -1.427
O -3.776 -1.235 -0.592
O -4.801 1.287 -0.110
O -6.188 -2.936 0.614
O -3.247 -3.564 1.721
O -3.858 -6.478 1.111
O -4.515 -0.931 2.489
O -7.426 -0.131 1.580
O -2.812 -5.325 4.246
O -5.723 -4.524 3.337
O -7.113 -1.627 4.729
O -6.142 1.181 4.089
O -3.293 0.219 5.198
O -4.331 -2.744 5.915
O -6.505 -4.376 6.419
O -3.832 -5.111 7.254
O -8.493 0.725 6.198
O -5.820 -0.009 7.033
O -7.994 -1.641 7.536
O -9.032 -4.604 8.253
O -6.183 -5.566 9.362
O -5.212 -2.758 8.722
O -6.602 0.139 10.115
O -9.513 0.940 9.205
O -4.899 -4.254 11.871
O -7.810 -3.454 10.962
O -8.467 2.093 12.341
O -9.078 -0.821 11.731
O -6.137 -1.449 12.838
O -7.524 -5.672 13.561
O -8.549 -3.150 14.044
O -5.876 -3.885 14.878
```

space-group type = Pnma, No. 62


[5]
The following is a GGA+U calculation of an optimized crystal structure of Li3AlCoO4, from the Materials Project database.

The structure in extended XYZ format:
```
72
Lattice="0.972 -8.521 5.364 7.802 4.792 4.300 -8.980 4.640 0.408" Properties=species:S:1:pos:R:3 pbc="T T T"
Li 0.354 -6.662 5.494
Li -1.192 -4.733 5.172
Li -6.120 -3.582 5.322
Li -0.979 -2.124 3.688
Li 1.511 -1.738 3.701
Li 3.810 -2.733 6.359
Li -3.698 -3.173 5.752
Li -0.831 -0.749 1.614
Li 5.910 -1.290 7.461
Li 3.573 -0.205 4.874
Li -1.372 -1.463 6.596
Li -0.644 -0.500 8.778
Li -5.010 1.638 3.843
Li 2.419 2.124 4.729
Li 0.081 3.208 2.141
Li -2.628 0.717 6.453
Li 2.182 4.652 3.243
Li -2.784 3.120 5.070
Li 2.217 2.427 7.481
Li -5.205 4.131 2.530
Li 4.480 3.657 5.901
Li -0.204 3.438 4.941
Li -0.360 5.841 3.558
Li 2.022 4.920 6.168
Al 1.247 -3.007 5.929
Al -3.477 -0.426 4.305
Al 1.512 1.095 2.504
Al 4.479 0.823 7.098
Al -0.327 2.128 7.198
Al 5.716 -3.596 9.037
Al -2.661 4.430 2.813
Al -7.313 2.193 1.406
Co -1.307 5.231 6.803
Co -6.720 -0.382 4.784
Co 0.554 0.169 5.499
Co 2.552 -0.874 8.050
Co -1.681 1.327 3.208
Co -4.070 2.149 0.927
Co 5.438 1.750 4.103
Co 4.412 -5.728 6.916
O 0.700 -4.684 5.716
O 0.385 -2.183 2.200
O 2.620 -3.063 4.771
O 5.000 -3.859 7.428
O 1.963 -2.744 7.538
O 0.137 -1.761 5.320
O -2.195 -0.690 3.102
O 1.876 0.144 3.964
O -5.099 -0.535 3.578
O 6.264 -1.918 9.250
O -0.172 1.110 1.941
O -3.231 -1.233 5.868
O 4.070 -0.881 6.702
O 1.921 2.800 2.900
O -3.169 1.321 4.590
O -1.638 -3.983 3.361
O -0.817 0.426 7.049
O -5.691 2.301 2.132
O 4.116 1.775 5.638
O 3.255 1.063 8.365
O 0.944 2.114 5.929
O 5.855 3.680 4.283
O -2.510 -4.516 6.659
O -1.392 3.324 3.390
O -1.596 3.235 6.620
O -7.309 -2.239 4.415
O 3.372 4.982 4.832
O -3.933 4.444 4.082
O -6.243 5.496 1.646
O -2.171 6.133 2.962
O 0.181 5.237 5.421
O 1.215 -0.730 9.506
```

space-group type = I4_1/a, No. 88


[6]
The following is a GGA+U calculation of an optimized crystal structure of Li5AlCo4O10, from the Materials Project database.

The structure in extended XYZ format:
```
20
Lattice="24.193 -1.452 0.000 24.193 1.452 0.000 24.106 0.000 2.513" Properties=species:S:1:pos:R:3 pbc="T T T"
Li 28.996 0.000 1.005
Li 43.495 0.000 1.508
Li 0.000 0.000 0.000
Li 58.025 0.000 2.012
Li 14.466 0.000 0.501
Al 36.246 0.000 1.256
Co 65.236 0.000 2.261
Co 21.748 0.000 0.754
Co 50.743 0.000 1.759
Co 7.255 0.000 0.251
O 54.436 0.000 1.887
O 68.963 0.000 2.391
O 25.459 0.000 0.883
O 11.062 0.000 0.383
O 39.932 0.000 1.384
O 32.559 0.000 1.129
O 47.032 0.000 1.630
O 3.528 0.000 0.122
O 61.429 0.000 2.129
O 18.055 0.000 0.626
```

space-group type = R-3m, No. 166


[7]
The following is a GGA+U calculation of an optimized crystal structure of AlCoO3, from the Materials Project database.

The structure in extended XYZ format:
```
10
Lattice="-2.268 4.298 0.038 -3.141 -4.300 0.115 -2.384 1.554 4.068" Properties=species:S:1:pos:R:3 pbc="T T T"
Al -4.146 0.681 3.501
Al -3.670 0.881 0.702
Co -4.488 -2.231 1.522
Co -3.366 3.751 2.728
O -5.934 1.445 3.197
O -4.925 3.872 3.950
O -4.450 -0.368 1.871
O -3.336 1.855 2.340
O -2.833 -2.289 0.254
O -1.812 0.167 1.037
```

space-group type = P1, No. 1


[8]
The following is a GGA+U calculation of an optimized crystal structure of AlCo2O4, from the Materials Project database.

The structure in extended XYZ format:
```
14
Lattice="-0.122 -2.725 5.173 -4.247 1.199 3.837 -4.142 -3.975 1.114" Properties=species:S:1:pos:R:3 pbc="T T T"
Al -6.383 -4.126 7.593
Al -4.255 -2.751 5.062
Co -3.135 -2.675 1.822
Co -1.064 -0.688 1.265
Co -3.187 -0.088 3.184
Co -1.125 -2.050 3.852
O -5.315 -5.423 6.935
O -3.244 -3.431 6.393
O -5.270 -4.061 4.348
O -3.183 -2.058 3.786
O -7.394 -3.446 6.261
O -5.323 -1.453 5.720
O -5.368 -2.816 8.307
O -7.455 -4.819 8.868
```

space-group type = Fd-3m, No. 227
distance to the lowest polymorph of the same formula = 102 meV/atom


| no. | formation enthalpy at 0 K (eV/atom) | energy with MP2020 corrections (eV/f.u.) |
| --- | --- | --- |
| 1 | -2.18 | -103.56 |
| 2 | -2.72 | -97.69 |
| 3 | -2.43 | -42.16 |
| 4 | -2.07 | -116.18 |
| 5 | -2.28 | -56.85 |
| 6 | -1.90 | -129.30 |
| 7 | -2.24 | -36.91 |
| 8 | -1.96 | -51.48 |